Record 1
This record from the Materials Project describes BaClO after structural relaxation. The functional is GGA-PBE.

```
12
Lattice="4.195 0.000 0.000 0.000 7.689 0.000 0.000 0.000 9.464" Properties=species:S:1:pos:R:3 pbc="T T T"
O 1.049 4.594 5.050
O 3.147 3.095 4.415
O 1.049 0.749 9.147
O 3.147 6.939 0.317
Cl 3.147 7.345 6.284
Cl 1.049 4.188 1.551
Cl 1.049 0.343 3.181
Cl 3.147 3.501 7.913
Ba 3.147 5.560 3.605
Ba 1.049 5.973 8.338
Ba 1.049 2.129 5.859
Ba 3.147 1.715 1.127
```

## Properties
Total DFT energy (no corrections): -0.1769 Ha/atom
Corrected total energy (MP2020 scheme): -60.5 eV for the cell shown
Calculated density: 4.107 g cm⁻³
Energy of formation from the pure elements: -2.1373 eV per atom
Calculated volume: 305.3 Å³/cell
Symmetry: Pnma, No. 62

Record 2
This record from the Materials Project describes BaCl2O after structural relaxation. The functional is GGA-PBE.

```
16
Lattice="5.206 0.000 0.000 0.000 8.554 0.000 0.000 0.000 10.593" Properties=species:S:1:pos:R:3 pbc="T T T"
O 3.905 1.054 2.927
O 3.905 3.222 8.223
O 1.302 7.499 7.667
O 1.302 5.331 2.370
Ba 3.905 5.282 3.292
Ba 1.302 1.005 2.005
Ba 3.905 7.549 8.588
Ba 1.302 3.272 7.302
Cl 1.302 5.723 9.335
Cl 3.905 1.447 6.555
Cl 3.905 7.712 1.217
Cl 1.302 0.842 9.377
Cl 3.905 2.830 1.258
Cl 1.302 3.435 4.080
Cl 1.302 7.107 4.038
Cl 3.905 5.119 6.513
```

## Properties
Total DFT energy (no corrections): -0.1474 Ha/atom
Corrected total energy (MP2020 scheme): -66.9 eV for the cell shown
Calculated density: 3.157 g cm⁻³
Energy of formation from the pure elements: -1.5429 eV per atom
Calculated volume: 471.7 Å³/cell
Symmetry: Pnma, No. 62

Record 3
This record from the Materials Project describes Ba4Os6ClO18 after structural relaxation. The functional is GGA-PBE.

```
29
Lattice="4.256 -6.875 -1.460 -5.487 -1.388 5.957 -3.914 2.304 -6.847" Properties=species:S:1:pos:R:3 pbc="T T T"
O -1.878 -5.055 0.437
O -3.295 -1.095 -2.684
O -1.628 -0.881 -4.876
O 0.116 -1.550 -2.816
O -4.898 -0.640 1.672
O -0.031 -5.341 -4.002
O -0.343 -4.036 -1.690
O -3.525 -4.973 2.717
O -5.018 -1.903 -0.681
O -5.907 -0.648 -3.037
O -0.417 -2.801 1.524
O -3.187 0.310 -0.302
O 0.226 -3.022 -5.491
O 0.790 -5.122 0.583
O -1.965 -3.307 -3.804
O -6.214 0.605 -0.589
O -0.814 -5.462 2.972
O -3.172 -2.758 1.262
Os -5.150 -2.560 1.197
Os -1.883 -4.008 2.128
Os -4.655 -0.158 -1.565
Os -3.263 -1.951 -4.479
Os -0.491 -5.801 -0.785
Os 0.005 -3.400 -3.547
Ba 1.574 -2.542 -0.540
Ba -3.243 -3.756 -1.481
Ba -1.447 0.852 -2.532
Ba -2.029 -0.513 2.202
Cl 0.000 0.000 0.000
```

## Properties
Total DFT energy (no corrections): -0.2707 Ha/atom
Corrected total energy (MP2020 scheme): -226.0 eV for the cell shown
Calculated density: 7.832 g cm⁻³
Energy of formation from the pure elements: -2.0697 eV per atom
Calculated volume: 427.0 Å³/cell
Symmetry: I23, No. 197

Record 4
This record from the Materials Project describes Ba3P3ClO10 after structural relaxation. The functional is GGA-PBE.

```
68
Lattice="-4.519 2.305 2.563 -6.745 0.887 -12.688 -5.588 -13.230 2.046" Properties=species:S:1:pos:R:3 pbc="T T T"
O -6.139 -6.105 2.107
O -9.011 -1.969 -4.851
O -11.553 -10.497 -3.490
O -13.608 -10.979 -8.383
O -5.389 1.222 -3.732
O -7.777 -5.601 -2.940
O -5.571 -8.369 1.040
O -6.171 -0.013 -1.674
O -2.529 0.094 0.621
O -6.919 -11.143 1.850
O -11.579 -8.160 -4.168
O -9.714 -8.902 -2.600
O -10.063 -4.658 -7.031
O -13.545 -9.026 -6.707
O -4.903 -0.669 1.224
O -9.662 -0.805 -10.229
O -6.626 -5.403 -0.742
O -7.872 -7.812 2.053
O -8.981 -10.789 3.366
O -12.699 -11.354 -6.097
O -7.426 0.775 -5.215
O -7.943 -4.298 -4.976
O -6.890 -7.686 -1.828
O -5.755 -3.697 1.752
O -3.990 1.293 -1.675
O -12.614 -7.340 -9.117
O -5.038 0.378 -6.117
O -3.209 -2.150 -0.029
O -8.590 -6.672 -5.117
O -8.776 -3.419 -8.851
O -11.398 -9.932 -7.756
O -9.679 -9.668 -5.034
O -11.220 -4.156 -9.176
O -6.916 -2.498 -6.251
O -8.922 -6.509 -0.821
O -3.895 -5.343 1.043
O -10.124 -5.068 -3.794
O -10.679 -2.258 -7.602
O -4.153 -0.901 -2.965
O -6.763 -2.367 -3.712
P -3.464 -1.178 1.137
P -10.529 -9.236 -3.839
P -5.960 1.164 -5.217
P -7.651 -2.664 -4.909
P -7.766 -11.614 3.018
P -7.558 -6.341 -1.499
P -8.728 -5.464 -4.208
P -4.891 0.339 -2.450
P -12.777 -10.270 -7.167
P -4.997 -4.986 2.009
P -6.342 -7.751 2.207
P -10.110 -3.590 -8.118
Ba -1.525 -0.586 -2.009
Ba -10.919 -9.694 -10.505
Ba -7.019 -8.887 -4.354
Ba -5.668 -2.829 -1.158
Ba -11.092 -7.222 -6.750
Ba -7.045 -5.228 -7.567
Ba -8.291 -0.610 -7.777
Ba -8.723 0.022 -2.825
Ba -8.728 -4.953 1.515
Ba -14.248 -9.594 -4.043
Ba -12.624 -0.785 -8.976
Ba -8.470 -9.440 -0.131
Cl -8.939 -7.490 -8.976
Cl -8.699 -2.446 -0.584
Cl -7.009 -11.348 -2.104
Cl -10.629 1.413 -7.456
```

## Properties
Total DFT energy (no corrections): -0.2577 Ha/atom
Corrected total energy (MP2020 scheme): -504.4 eV for the cell shown
Calculated density: 3.919 g cm⁻³
Energy of formation from the pure elements: -3.1042 eV per atom
Calculated volume: 1186.9 Å³/cell
Symmetry: Pca2_1, No. 29

Record 5
This record from the Materials Project describes Ba5P3ClO12 after structural relaxation. The functional is GGA-PBE.

```
42
Lattice="-8.631 3.899 -4.391 3.701 -9.260 -3.087 -4.326 -3.521 5.377" Properties=species:S:1:pos:R:3 pbc="T T T"
Ba -2.573 -6.635 -0.833
Ba -10.851 -1.077 -1.063
Ba -5.438 -1.748 2.852
Ba -3.818 -7.134 -4.954
Ba -4.521 -0.488 -3.956
Ba -4.735 -8.395 1.854
Ba -2.250 -2.323 -0.541
Ba -7.006 -6.560 -1.561
Ba -6.683 -2.248 -1.269
Ba 1.595 -7.805 -1.038
P -4.460 0.381 -0.549
P -4.947 -4.956 1.146
P -8.036 -0.558 -4.040
P -4.309 -3.926 -3.248
P -4.796 -9.263 -1.553
P -1.220 -8.324 1.939
O -5.699 -4.575 -2.967
O -6.123 -9.176 -0.740
O -3.153 -4.942 -2.983
O -2.264 -7.158 1.863
O -5.653 0.300 -1.561
O -8.680 -0.397 -2.630
O -7.267 0.753 -4.386
O -0.489 -4.772 -0.728
O -8.767 -4.111 -1.373
O -4.970 -5.458 2.622
O -4.546 -0.857 0.395
O -5.096 -6.203 0.210
O -1.989 -9.636 2.285
O -6.103 -3.941 0.881
O -0.832 -7.549 -2.822
O -4.286 -3.425 -4.724
O -3.557 -4.308 0.866
O -8.425 -1.334 0.720
O -6.992 -1.725 -3.964
O -0.576 -8.486 0.529
O -3.603 -9.183 -0.540
O -4.710 -8.026 -2.496
O -3.133 0.293 -1.361
O -4.160 -2.679 -2.311
Cl 0.000 0.000 0.000
Cl -2.163 -1.760 2.688
```

## Properties
Total DFT energy (no corrections): -0.2582 Ha/atom
Corrected total energy (MP2020 scheme): -311.6 eV for the cell shown
Calculated density: 4.574 g cm⁻³
Energy of formation from the pure elements: -3.2742 eV per atom
Calculated volume: 731.1 Å³/cell
Symmetry: P6_3/m, No. 176

Record 6
This record from the Materials Project describes Ba6Ru2PtCl2O12 after structural relaxation. The functional is GGA-PBE.

```
23
Lattice="-2.030 -0.801 -5.489 1.007 -4.661 3.486 -14.350 0.783 5.193" Properties=species:S:1:pos:R:3 pbc="T T T"
O -13.102 -0.820 4.966
O -3.504 -1.438 1.506
O -12.390 -0.830 -0.119
O -2.820 -1.318 -3.676
O -11.869 -3.242 1.685
O -4.033 -4.264 0.469
O -11.340 -0.416 2.721
O -2.271 -3.859 -1.776
O -2.983 -3.849 3.309
O -13.660 -3.798 3.874
O -1.713 -0.881 -0.684
O -12.553 -3.361 6.867
Ba -14.205 -1.368 2.275
Ba -10.121 -1.591 0.797
Ba -5.252 -3.088 2.393
Ba -11.282 -2.759 4.576
Ba -4.091 -1.920 -1.385
Ba -1.168 -3.311 0.915
Cl -7.077 -1.757 -0.305
Cl -8.296 -2.922 3.495
Ru -2.622 0.143 0.949
Ru -11.728 0.640 4.244
Pt 0.000 0.000 0.000
```

## Properties
Total DFT energy (no corrections): -0.2310 Ha/atom
Corrected total energy (MP2020 scheme): -152.8 eV for the cell shown
Calculated density: 5.336 g cm⁻³
Energy of formation from the pure elements: -2.3308 eV per atom
Calculated volume: 461.8 Å³/cell
Symmetry: P-3m1, No. 164

Record 7
This record from the Materials Project describes Ba3Sr2Re3ClO15 after structural relaxation. The functional is GGA-PBE.

```
48
Lattice="-10.078 3.206 2.656 4.873 -7.930 5.680 2.982 5.331 4.883" Properties=species:S:1:pos:R:3 pbc="T T T"
Sr -3.687 2.008 5.967
Sr -2.196 4.674 8.409
Sr 1.296 -1.703 6.975
Sr 2.788 0.962 9.417
O -4.189 0.760 8.319
O -4.608 6.788 6.019
O -2.649 -1.492 7.599
O -2.428 -3.800 5.958
O 2.459 -0.462 3.355
O -1.550 2.140 7.551
O -2.809 4.511 5.731
O 5.978 -1.096 8.160
O -0.338 -2.108 9.098
O 0.885 0.519 5.482
O -0.888 -1.919 5.315
O 0.476 0.631 7.960
O 0.632 -2.540 2.714
O -5.256 4.116 5.306
O -4.536 3.246 8.167
O -7.387 0.871 3.888
O -4.547 1.924 3.354
O 1.008 3.139 6.572
O 3.470 -0.165 7.001
O 3.829 -2.651 7.144
O -3.219 0.328 1.935
O -1.906 2.789 2.472
O 2.109 -1.703 9.511
O 0.371 -4.290 7.135
O -5.908 0.387 5.865
O 1.699 -5.896 5.726
O 2.098 -3.025 4.698
O -1.129 2.020 5.074
O -4.443 -2.299 5.551
O -2.914 -0.410 4.905
Re 2.417 -2.199 3.056
Re -2.658 -1.966 5.901
Re -3.440 2.163 1.872
Re 4.963 -1.250 6.728
Re -0.040 1.722 6.538
Re -4.131 5.523 4.888
Ba -6.749 3.571 3.064
Ba -0.485 4.718 4.248
Ba 3.450 1.787 5.044
Ba -1.667 0.393 9.691
Ba -0.693 -0.035 3.301
Ba 4.267 -4.634 5.292
Cl 0.006 0.010 0.009
Cl 1.497 2.675 2.451
```

## Properties
Total DFT energy (no corrections): -0.2736 Ha/atom
Corrected total energy (MP2020 scheme): -378.0 eV for the cell shown
Calculated density: 5.862 g cm⁻³
Energy of formation from the pure elements: -2.7691 eV per atom
Calculated volume: 805.2 Å³/cell
Symmetry: P6_3cm, No. 185

Record 8
This record from the Materials Project describes Ba6Ru3Cl2O12 after structural relaxation. The functional is GGA-PBE.

```
23
Lattice="-2.525 1.472 5.146 2.468 -5.338 -0.665 13.141 5.467 4.883" Properties=species:S:1:pos:R:3 pbc="T T T"
O 13.747 0.729 4.712
O 3.544 -0.151 1.782
O 9.570 3.771 5.242
O 9.540 1.752 7.583
O 0.691 0.083 1.894
O 4.833 -2.939 1.435
O 12.393 1.518 7.470
O 0.660 -1.988 4.296
O 3.514 -2.170 4.123
O 8.251 4.541 7.930
O 12.424 3.590 5.069
O -0.662 0.872 4.652
Ba 1.951 0.372 4.254
Ba 11.222 4.229 7.699
Ba 7.507 2.683 6.318
Ba 5.578 -1.082 3.046
Ba 1.863 -2.627 1.666
Ba 11.133 1.230 5.111
Cl 8.386 0.086 4.090
Cl 4.699 1.515 5.275
Ru 10.842 4.511 4.029
Ru 2.299 0.956 0.854
Ru 0.000 0.000 0.000
```

## Properties
Total DFT energy (no corrections): -0.2377 Ha/atom
Corrected total energy (MP2020 scheme): -157.0 eV for the cell shown
Calculated density: 5.057 g cm⁻³
Energy of formation from the pure elements: -2.3753 eV per atom
Calculated volume: 456.5 Å³/cell
Symmetry: P-3m1, No. 164